# Li3CrF6 (GGA+U, relaxed)
data_Li3CrF6
_symmetry_space_group_name_H-M 'F m -3 m'
_symmetry_Int_Tables_number 225
_symmetry_space_group_name_Hall '-F 4 2 3'
_cell_length_a 7.724
_cell_length_b 7.724
_cell_length_c 7.724
_cell_angle_alpha 90.00
_cell_angle_beta 90.00
_cell_angle_gamma 90.00
loop_
_atom_site_label
_atom_site_type_symbol
_atom_site_fract_x
_atom_site_fract_y
_atom_site_fract_z
_atom_site_occupancy
Li1 Li 0.000 0.000 0.000 1
Li2 Li 0.250 0.250 0.250 1
Cr1 Cr 0.000 0.000 0.500 1
F1 F 0.000 0.000 0.253 1
# formation energy: -2.950 eV per atom
# E (MP2020): -5.637 eV per atom
# polymorph energy (0 for the lowest one): 202 meV per atom
# energy: -51.60 eV/f.u.



# Li3CrF6 (GGA+U, relaxed)
data_Li3CrF6
_symmetry_space_group_name_H-M 'C 1 2/c 1'
_symmetry_Int_Tables_number 15
_cell_length_a 14.661
_cell_length_b 8.766
_cell_length_c 10.235
_cell_angle_alpha 90.00
_cell_angle_beta 94.72
_cell_angle_gamma 90.00
loop_
_symmetry_equiv_pos_as_xyz
'x,y,z'
'-x,-y,-z'
'-x,y,-z+1/2'
'x,-y,z+1/2'
'x+1/2,y+1/2,z'
'-x+1/2,-y+1/2,-z'
'-x+1/2,y+1/2,-z+1/2'
'x+1/2,-y+1/2,z+1/2'
loop_
_atom_site_label
_atom_site_type_symbol
_atom_site_fract_x
_atom_site_fract_y
_atom_site_fract_z
_atom_site_occupancy
Li1 Li 0.000 0.188 0.250 1
Li2 Li 0.023 0.349 0.538 1
Li3 Li 0.140 0.147 0.770 1
Li4 Li 0.167 0.292 0.052 1
Li5 Li 0.202 0.142 0.432 1
Cr1 Cr 0.000 0.000 0.000 1
Cr2 Cr 0.163 0.498 0.296 1
F1 F 0.072 0.006 0.167 1
F2 F 0.073 0.166 0.434 1
F3 F 0.077 0.163 0.938 1
F4 F 0.079 0.490 0.934 1
F5 F 0.095 0.339 0.198 1
F6 F 0.101 0.341 0.695 1
F7 F 0.231 0.339 0.890 1
F8 F 0.239 0.345 0.394 1
F9 F 0.247 0.021 0.837 1
# formation energy: -3.152 eV per atom
# E (MP2020): -5.839 eV per atom
# polymorph energy (0 for the lowest one): 0 meV per atom
# energy: -53.62 eV/f.u.



# Na3Li3Cr2F12 (GGA+U, relaxed)
data_Na3Li3Cr2F12
_symmetry_space_group_name_H-M 'I a -3 d'
_symmetry_Int_Tables_number 230
_symmetry_space_group_name_Hall '-I 4bd 2c 3'
_cell_length_a 12.559
_cell_length_b 12.559
_cell_length_c 12.559
_cell_angle_alpha 90.00
_cell_angle_beta 90.00
_cell_angle_gamma 90.00
loop_
_atom_site_label
_atom_site_type_symbol
_atom_site_fract_x
_atom_site_fract_y
_atom_site_fract_z
_atom_site_occupancy
Na1 Na 0.000 0.250 0.125 1
Li1 Li 0.000 0.250 0.375 1
Cr1 Cr 0.000 0.000 0.000 1
F1 F 0.029 0.047 0.645 1
# formation energy: -3.115 eV per atom
# E (MP2020): -5.714 eV per atom
# energy: -104.74 eV/f.u.



# NaLi2CrF6 (GGA+U, relaxed)
data_NaLi2CrF6
_symmetry_space_group_name_H-M 'F m -3 m'
_symmetry_Int_Tables_number 225
_symmetry_space_group_name_Hall '-F 4 2 3'
_cell_length_a 8.133
_cell_length_b 8.133
_cell_length_c 8.133
_cell_angle_alpha 90.00
_cell_angle_beta 90.00
_cell_angle_gamma 90.00
loop_
_atom_site_label
_atom_site_type_symbol
_atom_site_fract_x
_atom_site_fract_y
_atom_site_fract_z
_atom_site_occupancy
Na1 Na 0.000 0.000 0.000 1
Li1 Li 0.250 0.250 0.250 1
Cr1 Cr 0.000 0.000 0.500 1
F1 F 0.000 0.000 0.265 1
# formation energy: -2.864 eV per atom
# E (MP2020): -5.492 eV per atom
# energy: -50.15 eV/f.u.



# Na2LiCrF6 (GGA+U, relaxed)
data_Na2LiCrF6
_symmetry_space_group_name_H-M 'F m -3 m'
_symmetry_Int_Tables_number 225
_symmetry_space_group_name_Hall '-F 4 2 3'
_cell_length_a 7.824
_cell_length_b 7.824
_cell_length_c 7.824
_cell_angle_alpha 90.00
_cell_angle_beta 90.00
_cell_angle_gamma 90.00
loop_
_atom_site_label
_atom_site_type_symbol
_atom_site_fract_x
_atom_site_fract_y
_atom_site_fract_z
_atom_site_occupancy
Na1 Na 0.250 0.250 0.250 1
Li1 Li 0.000 0.000 0.000 1
Cr1 Cr 0.000 0.000 0.500 1
F1 F 0.000 0.000 0.255 1
# formation energy: -3.050 eV per atom
# E (MP2020): -5.620 eV per atom
# energy: -51.43 eV/f.u.



# LiCr6O4F4 (GGA+U, relaxed)
data_LiCr6O4F4
_symmetry_space_group_name_H-M 'P 1'
_symmetry_Int_Tables_number 1
_cell_length_a 5.727
_cell_length_b 5.748
_cell_length_c 6.486
_cell_angle_alpha 86.87
_cell_angle_beta 89.08
_cell_angle_gamma 73.63
loop_
_symmetry_equiv_pos_as_xyz
'x,y,z'
loop_
_atom_site_label
_atom_site_type_symbol
_atom_site_fract_x
_atom_site_fract_y
_atom_site_fract_z
_atom_site_occupancy
Li1 Li 0.000 0.000 0.000 1
Cr1 Cr 0.086 0.044 0.397 1
Cr2 Cr 0.310 0.537 0.496 1
Cr3 Cr 0.352 0.536 0.000 1
Cr4 Cr 0.544 0.030 0.845 1
Cr5 Cr 0.817 0.520 0.752 1
Cr6 Cr 0.847 0.558 0.248 1
O1 O 0.035 0.375 0.508 1
O2 O 0.121 0.735 0.232 1
O3 O 0.525 0.376 0.740 1
O4 O 0.628 0.694 0.998 1
F1 F 0.030 0.776 0.770 1
F2 F 0.136 0.283 0.003 1
F3 F 0.429 0.851 0.503 1
F4 F 0.767 0.214 0.241 1
# formation energy: -2.063 eV per atom
# E (MP2020): -7.881 eV per atom
# energy: -101.63 eV/f.u.